[1]
{"formula": "Sr2La2TlNi2O9", "functional": "PBE+U", "state": "optimized geometry", "cell": [[3.855, 0.017, 0.000], [0.017, 3.855, 0.000], [0.000, 0.000, 30.039]], "species": ["Sr", "Sr", "Sr", "Sr", "La", "La", "La", "La", "Tl", "Tl", "Ni", "Ni", "Ni", "Ni", "O", "O", "O", "O", "O", "O", "O", "O", "O", "O", "O", "O", "O", "O", "O", "O", "O", "O"], "frac_coords": [[0.996, 0.996, 0.417], [0.496, 0.496, 0.917], [0.496, 0.496, 0.083], [0.996, 0.996, 0.583], [0.999, 0.999, 0.298], [0.499, 0.499, 0.798], [0.499, 0.499, 0.202], [0.999, 0.999, 0.702], [0.462, 0.462, 0.500], [0.962, 0.962, 0.000], [0.999, 0.999, 0.855], [0.499, 0.499, 0.645], [0.499, 0.499, 0.355], [0.999, 0.999, 0.145], [0.035, 0.035, 0.500], [0.535, 0.535, 0.000], [0.500, 0.500, 0.281], [0.000, 0.000, 0.781], [0.000, 0.000, 0.219], [0.500, 0.500, 0.719], [0.509, 0.509, 0.430], [0.009, 0.009, 0.930], [0.009, 0.009, 0.070], [0.509, 0.509, 0.570], [0.498, 0.999, 0.353], [0.998, 0.499, 0.853], [0.999, 0.498, 0.353], [0.499, 0.998, 0.853], [0.998, 0.499, 0.147], [0.498, 0.999, 0.647], [0.499, 0.998, 0.147], [0.999, 0.498, 0.647]], "ef_mev_per_atom": -2493, "energy_mp2020_ev_per_atom": -6.9742, "space_group": "Aem2"}

***

[2]
{"formula": "VPO4", "functional": "PBE+U", "state": "optimized geometry", "cell": [[7.407, -4.313, 0.000], [7.407, 4.313, 0.000], [4.895, 0.000, 7.036]], "species": ["V", "V", "V", "V", "V", "V", "P", "P", "P", "P", "P", "P", "O", "O", "O", "O", "O", "O", "O", "O", "O", "O", "O", "O", "O", "O", "O", "O", "O", "O", "O", "O", "O", "O", "O", "O"], "frac_coords": [[0.000, 0.000, 0.000], [0.643, 0.643, 0.643], [0.143, 0.143, 0.143], [0.500, 0.500, 0.500], [0.857, 0.857, 0.857], [0.357, 0.357, 0.357], [0.957, 0.250, 0.543], [0.543, 0.957, 0.250], [0.250, 0.543, 0.957], [0.750, 0.457, 0.043], [0.457, 0.043, 0.750], [0.043, 0.750, 0.457], [0.503, 0.113, 0.317], [0.317, 0.503, 0.113], [0.113, 0.317, 0.503], [0.941, 0.089, 0.740], [0.997, 0.183, 0.387], [0.760, 0.411, 0.559], [0.740, 0.941, 0.089], [0.559, 0.760, 0.411], [0.817, 0.613, 0.003], [0.411, 0.559, 0.760], [0.911, 0.260, 0.059], [0.613, 0.003, 0.817], [0.387, 0.997, 0.183], [0.089, 0.740, 0.941], [0.589, 0.441, 0.240], [0.183, 0.387, 0.997], [0.441, 0.240, 0.589], [0.260, 0.059, 0.911], [0.240, 0.589, 0.441], [0.003, 0.817, 0.613], [0.059, 0.911, 0.260], [0.887, 0.683, 0.497], [0.683, 0.497, 0.887], [0.497, 0.887, 0.683]], "ef_mev_per_atom": -2625, "energy_mp2020_ev_per_atom": -8.3395, "space_group": "R-3c"}

***

[3]
{"formula": "FeOF", "functional": "PBE+U", "state": "optimized geometry", "cell": [[-2.687, -1.211, 0.682], [2.111, -4.089, 1.054], [1.485, 4.192, 13.295]], "species": ["Fe", "Fe", "Fe", "Fe", "Fe", "Fe", "O", "O", "O", "O", "O", "O", "F", "F", "F", "F", "F", "F"], "frac_coords": [[0.500, 0.786, 0.996], [0.500, 0.643, 0.334], [0.500, 0.782, 0.668], [0.000, 0.218, 0.168], [0.000, 0.214, 0.496], [0.000, 0.357, 0.834], [0.000, 0.486, 0.270], [0.000, 0.601, 0.931], [0.500, 0.514, 0.770], [0.500, 0.399, 0.431], [0.500, 0.050, 0.565], [0.000, 0.950, 0.065], [0.000, 0.571, 0.605], [0.500, 0.429, 0.105], [0.500, 0.992, 0.235], [0.500, 0.124, 0.896], [0.000, 0.876, 0.396], [0.000, 0.008, 0.735]], "ef_mev_per_atom": -1983, "energy_mp2020_ev_per_atom": -7.0942, "space_group": "Pmn2_1"}

***

[4]
{"formula": "Li2CoSiO4", "functional": "PBE+U", "state": "optimized geometry", "cell": [[4.543, 1.383, 1.608], [-2.442, 1.461, 5.641], [1.856, -10.066, 3.410]], "species": ["Li", "Li", "Li", "Li", "Li", "Li", "Li", "Li", "Co", "Co", "Co", "Co", "Si", "Si", "Si", "Si", "O", "O", "O", "O", "O", "O", "O", "O", "O", "O", "O", "O", "O", "O", "O", "O"], "frac_coords": [[0.257, 0.502, 0.662], [0.757, 0.498, 0.338], [0.757, 0.002, 0.838], [0.257, 0.998, 0.162], [0.257, 0.757, 0.922], [0.757, 0.243, 0.078], [0.757, 0.257, 0.578], [0.257, 0.743, 0.422], [0.760, 0.508, 0.836], [0.260, 0.492, 0.164], [0.260, 0.008, 0.664], [0.760, 0.991, 0.336], [0.264, 0.252, 0.913], [0.764, 0.748, 0.087], [0.764, 0.752, 0.587], [0.264, 0.248, 0.413], [0.594, 0.254, 0.910], [0.094, 0.746, 0.090], [0.094, 0.754, 0.590], [0.594, 0.246, 0.410], [0.158, 0.247, 0.058], [0.658, 0.753, 0.942], [0.658, 0.747, 0.442], [0.158, 0.253, 0.558], [0.158, 0.469, 0.842], [0.658, 0.531, 0.158], [0.658, 0.969, 0.658], [0.158, 0.031, 0.342], [0.156, 0.037, 0.841], [0.656, 0.963, 0.159], [0.656, 0.537, 0.659], [0.156, 0.463, 0.341]], "ef_mev_per_atom": -2514, "energy_mp2020_ev_per_atom": -7.0321, "space_group": "Pna2_1"}

***

[5]
{"formula": "VH10S2N2O8", "functional": "PBE+U", "state": "optimized geometry", "cell": [[7.348, 0.000, 0.000], [0.000, 7.508, 0.000], [0.000, 6.000, 8.310]], "species": ["V", "V", "H", "H", "H", "H", "H", "H", "H", "H", "H", "H", "H", "H", "H", "H", "H", "H", "H", "H", "H", "H", "S", "S", "S", "S", "N", "N", "N", "N", "O", "O", "O", "O", "O", "O", "O", "O", "O", "O", "O", "O", "O", "O", "O", "O"], "frac_coords": [[0.000, 0.000, 0.500], [0.500, 0.000, 0.000], [0.064, 0.569, 0.211], [0.135, 0.332, 0.107], [0.670, 0.688, 0.026], [0.936, 0.431, 0.789], [0.723, 0.720, 0.641], [0.605, 0.207, 0.458], [0.223, 0.280, 0.859], [0.105, 0.793, 0.042], [0.436, 0.569, 0.711], [0.830, 0.688, 0.526], [0.365, 0.332, 0.607], [0.564, 0.431, 0.289], [0.635, 0.668, 0.393], [0.170, 0.312, 0.474], [0.895, 0.207, 0.958], [0.777, 0.720, 0.141], [0.395, 0.793, 0.542], [0.277, 0.280, 0.359], [0.865, 0.668, 0.893], [0.330, 0.312, 0.974], [0.184, 0.968, 0.247], [0.316, 0.968, 0.747], [0.684, 0.032, 0.253], [0.816, 0.032, 0.753], [0.679, 0.107, 0.077], [0.821, 0.107, 0.577], [0.179, 0.893, 0.423], [0.321, 0.893, 0.923], [0.858, 0.117, 0.286], [0.506, 0.300, 0.383], [0.748, 0.747, 0.862], [0.353, 0.298, 0.882], [0.853, 0.702, 0.618], [0.248, 0.253, 0.638], [0.006, 0.700, 0.117], [0.358, 0.883, 0.214], [0.642, 0.117, 0.786], [0.994, 0.300, 0.883], [0.752, 0.747, 0.362], [0.147, 0.298, 0.382], [0.647, 0.702, 0.118], [0.252, 0.253, 0.138], [0.494, 0.700, 0.617], [0.142, 0.883, 0.714]], "ef_mev_per_atom": -1035, "energy_mp2020_ev_per_atom": -5.7102, "space_group": "P2_1/c"}

***

[6]
{"formula": "VF5", "functional": "PBE+U", "state": "optimized geometry", "cell": [[-5.630, -3.308, -0.898], [2.642, -5.529, 3.806], [-3.043, 3.136, 7.524]], "species": ["V", "V", "V", "V", "F", "F", "F", "F", "F", "F", "F", "F", "F", "F", "F", "F", "F", "F", "F", "F", "F", "F", "F", "F"], "frac_coords": [[0.781, 0.746, 0.568], [0.719, 0.746, 0.068], [0.281, 0.254, 0.932], [0.219, 0.254, 0.432], [0.234, 0.023, 0.885], [0.266, 0.023, 0.385], [0.652, 0.746, 0.874], [0.848, 0.746, 0.374], [0.026, 0.773, 0.647], [0.474, 0.773, 0.147], [0.517, 0.718, 0.546], [0.983, 0.718, 0.046], [0.288, 0.485, 0.856], [0.212, 0.485, 0.356], [0.788, 0.515, 0.644], [0.712, 0.515, 0.144], [0.017, 0.282, 0.954], [0.483, 0.282, 0.454], [0.526, 0.227, 0.853], [0.974, 0.227, 0.353], [0.152, 0.254, 0.626], [0.348, 0.254, 0.126], [0.734, 0.977, 0.615], [0.766, 0.977, 0.115]], "ef_mev_per_atom": -2770, "energy_mp2020_ev_per_atom": -5.8796, "space_group": "P2_1/c"}

***

[7]
{"formula": "Na2Co3O4", "functional": "PBE+U", "state": "optimized geometry", "cell": [[3.138, 6.902, 0.000], [-3.138, 6.902, 0.000], [0.000, 1.691, 5.407]], "species": ["Na", "Na", "Na", "Na", "Co", "Co", "Co", "Co", "Co", "Co", "O", "O", "O", "O", "O", "O", "O", "O"], "frac_coords": [[0.762, 0.000, 0.976], [0.000, 0.762, 0.476], [0.000, 0.238, 0.524], [0.238, 0.000, 0.024], [0.438, 0.195, 0.574], [0.195, 0.438, 0.074], [0.805, 0.562, 0.926], [0.562, 0.805, 0.426], [0.482, 0.518, 0.750], [0.518, 0.482, 0.250], [0.672, 0.245, 0.544], [0.245, 0.672, 0.044], [0.138, 0.402, 0.769], [0.598, 0.862, 0.731], [0.402, 0.138, 0.269], [0.862, 0.598, 0.231], [0.755, 0.328, 0.956], [0.328, 0.755, 0.456]], "ef_mev_per_atom": -1318, "energy_mp2020_ev_per_atom": -6.1808, "space_group": "C2/c"}

***

[8]
{"formula": "NaNiO3", "functional": "PBE+U", "state": "optimized geometry", "cell": [[-1.655, 1.278, -3.198], [-3.002, -2.275, 0.644], [-1.689, 2.791, 1.989]], "species": ["Na", "Ni", "O", "O", "O"], "frac_coords": [[0.000, 0.000, 0.000], [0.500, 0.500, 0.500], [0.500, 0.500, 0.000], [0.500, 0.000, 0.500], [0.000, 0.500, 0.500]], "ef_mev_per_atom": -750, "energy_mp2020_ev_per_atom": -5.1388, "space_group": "Pm-3m"}

***

[9]
{"formula": "Mo2P2O11", "functional": "PBE+U", "state": "optimized geometry", "cell": [[-2.268, 1.721, -5.774], [-7.105, -1.513, 2.340], [-3.046, 7.869, 3.542]], "species": ["Mo", "Mo", "Mo", "Mo", "P", "P", "P", "P", "O", "O", "O", "O", "O", "O", "O", "O", "O", "O", "O", "O", "O", "O", "O", "O", "O", "O", "O", "O", "O", "O"], "frac_coords": [[0.750, 0.820, 0.857], [0.750, 0.607, 0.291], [0.250, 0.393, 0.709], [0.250, 0.180, 0.143], [0.250, 0.932, 0.882], [0.750, 0.491, 0.669], [0.250, 0.509, 0.331], [0.750, 0.068, 0.118], [0.750, 0.963, 0.681], [0.057, 0.808, 0.886], [0.443, 0.808, 0.886], [0.750, 0.904, 0.252], [0.250, 0.983, 0.037], [0.750, 0.593, 0.800], [0.250, 0.624, 0.650], [0.750, 0.632, 0.518], [0.061, 0.636, 0.304], [0.439, 0.636, 0.304], [0.750, 0.646, 0.090], [0.250, 0.354, 0.910], [0.561, 0.364, 0.696], [0.939, 0.364, 0.696], [0.250, 0.368, 0.482], [0.750, 0.376, 0.350], [0.250, 0.407, 0.200], [0.750, 0.017, 0.963], [0.250, 0.096, 0.748], [0.557, 0.192, 0.114], [0.943, 0.192, 0.114], [0.250, 0.037, 0.319]], "ef_mev_per_atom": -2265, "energy_mp2020_ev_per_atom": -8.0612, "space_group": "P2_1/m"}

***

[10]
{"formula": "NiBi2O6", "functional": "PBE+U", "state": "optimized geometry", "cell": [[-2.868, -3.744, -1.406], [6.219, -6.351, 4.225], [-5.055, 0.688, 8.475]], "species": ["Ni", "Ni", "Ni", "Ni", "Bi", "Bi", "Bi", "Bi", "Bi", "Bi", "Bi", "Bi", "O", "O", "O", "O", "O", "O", "O", "O", "O", "O", "O", "O", "O", "O", "O", "O", "O", "O", "O", "O", "O", "O", "O", "O"], "frac_coords": [[0.000, 0.500, 0.000], [0.500, 0.750, 0.500], [0.000, 0.000, 0.000], [0.500, 0.250, 0.500], [0.000, 0.000, 0.333], [0.000, 0.500, 0.333], [0.000, 0.000, 0.667], [0.000, 0.500, 0.667], [0.500, 0.250, 0.167], [0.500, 0.750, 0.167], [0.500, 0.250, 0.833], [0.500, 0.750, 0.833], [0.200, 0.400, 0.500], [0.200, 0.900, 0.500], [0.300, 0.150, 0.000], [0.300, 0.650, 0.000], [0.700, 0.350, 0.000], [0.700, 0.850, 0.000], [0.800, 0.100, 0.500], [0.800, 0.600, 0.500], [0.190, 0.405, 0.162], [0.190, 0.905, 0.162], [0.190, 0.405, 0.838], [0.190, 0.905, 0.838], [0.310, 0.155, 0.338], [0.310, 0.655, 0.338], [0.310, 0.155, 0.662], [0.310, 0.655, 0.662], [0.690, 0.345, 0.338], [0.690, 0.845, 0.338], [0.690, 0.345, 0.662], [0.690, 0.845, 0.662], [0.810, 0.095, 0.162], [0.810, 0.595, 0.162], [0.810, 0.095, 0.838], [0.810, 0.595, 0.838]], "ef_mev_per_atom": -1281, "energy_mp2020_ev_per_atom": -6.0858}

***

[11]
{"formula": "KMnPO4", "functional": "PBE+U", "state": "optimized geometry", "cell": [[5.566, 0.011, 0.079], [0.328, 8.772, 0.300], [0.007, 0.002, 9.057]], "species": ["K", "K", "K", "K", "Mn", "Mn", "Mn", "Mn", "P", "P", "P", "P", "O", "O", "O", "O", "O", "O", "O", "O", "O", "O", "O", "O", "O", "O", "O", "O"], "frac_coords": [[0.761, 0.999, 0.679], [0.239, 0.001, 0.321], [0.782, 0.495, 0.823], [0.218, 0.505, 0.177], [0.727, 0.824, 0.104], [0.690, 0.342, 0.421], [0.272, 0.176, 0.896], [0.310, 0.658, 0.579], [0.766, 0.203, 0.093], [0.234, 0.797, 0.907], [0.781, 0.704, 0.444], [0.219, 0.296, 0.556], [0.244, 0.957, 0.830], [0.756, 0.043, 0.170], [0.002, 0.220, 0.488], [0.998, 0.780, 0.512], [0.350, 0.674, 0.806], [0.650, 0.326, 0.194], [0.735, 0.548, 0.527], [0.265, 0.452, 0.473], [0.966, 0.757, 0.939], [0.034, 0.243, 0.061], [0.630, 0.208, 0.943], [0.370, 0.792, 0.057], [0.171, 0.323, 0.723], [0.828, 0.677, 0.277], [0.451, 0.194, 0.533], [0.549, 0.806, 0.467]], "ef_mev_per_atom": -2597, "energy_mp2020_ev_per_atom": -7.6650, "space_group": "P-1"}

***

[12]
{"formula": "CaTiVP3O12", "functional": "PBE+U", "state": "optimized geometry", "cell": [[-6.826, 4.285, 3.706], [-8.346, -1.381, -2.669], [-5.879, -4.207, 5.141]], "species": ["Ca", "Ca", "Ti", "Ti", "V", "V", "P", "P", "P", "P", "P", "P", "O", "O", "O", "O", "O", "O", "O", "O", "O", "O", "O", "O", "O", "O", "O", "O", "O", "O", "O", "O", "O", "O", "O", "O"], "frac_coords": [[0.998, 0.998, 0.998], [0.498, 0.498, 0.498], [0.147, 0.147, 0.147], [0.647, 0.647, 0.647], [0.354, 0.354, 0.354], [0.854, 0.854, 0.854], [0.040, 0.460, 0.752], [0.460, 0.752, 0.040], [0.752, 0.040, 0.460], [0.252, 0.960, 0.540], [0.540, 0.252, 0.960], [0.960, 0.540, 0.252], [0.120, 0.509, 0.296], [0.296, 0.120, 0.509], [0.056, 0.272, 0.922], [0.509, 0.296, 0.120], [0.009, 0.620, 0.796], [0.226, 0.435, 0.585], [0.272, 0.922, 0.056], [0.435, 0.585, 0.226], [0.206, 0.999, 0.372], [0.585, 0.226, 0.435], [0.085, 0.935, 0.726], [0.372, 0.206, 0.999], [0.620, 0.796, 0.009], [0.922, 0.056, 0.272], [0.422, 0.772, 0.556], [0.796, 0.009, 0.620], [0.556, 0.422, 0.772], [0.726, 0.085, 0.935], [0.772, 0.556, 0.422], [0.999, 0.372, 0.206], [0.499, 0.706, 0.872], [0.935, 0.726, 0.085], [0.706, 0.872, 0.499], [0.872, 0.499, 0.706]], "ef_mev_per_atom": -2992, "energy_mp2020_ev_per_atom": -8.2477, "space_group": "R3c"}

***

Number 11 is which compound? KMnPO4

***

Which formula does entry 5 have? VH10S2N2O8